No. 1
VASP calculation (PBE+U) on a relaxed structure of V2OF5.

a b c (Å): 4.6322 4.9967 8.4359
angles (deg): 90.09 90.94 90.27
With the nearest neighbours (Å) after each atom.
Fractional coordinates of all 16 atoms:
V: 0.0000 0.0000 0.0000  1 O 1.68
V: 0.0011 0.5016 0.5011  1 O 1.69
V: 0.5215 0.5162 0.8509  5 F 1.96-2.03, 1 O 2.00
V: 0.5230 0.0215 0.3509  5 F 1.96-2.04, 1 O 1.98
O: 0.7762 0.8386 0.8726  1 V 1.68
O: 0.7795 0.3389 0.3724  1 V 1.69
F: 0.2635 0.6432 0.6808  2 V 1.96-2.05
F: 0.2673 0.1389 0.1772  2 V 1.96-2.04
F: 0.2684 0.6867 0.0080  2 V 1.98-2.00
F: 0.2708 0.1832 0.8622  2 V 1.95-2.03
F: 0.2711 0.1892 0.5086  2 V 1.97-2.01
F: 0.2729 0.6860 0.3660  2 V 1.94-2.04
F: 0.7760 0.8336 0.5092  2 V 1.97-2.00
F: 0.7783 0.3367 0.0095  2 V 1.98-1.99
F: 0.7778 0.3710 0.6866  2 V 1.98-2.00
F: 0.7784 0.8732 0.1872  2 V 1.98-2.00

E_form: -2317 kJ/mol of formula units
volume: 12.20 A^3/atom
relative energy among the computed polymorphs: 0.043 eV per atom

No. 2
VASP calculation (PBE+U) on a relaxed structure of V3O4F2.

a b c (Å): 10.4115 10.4115 3.0802
angles (deg): 90.00 90.00 143.24
With the nearest neighbours (Å) after each atom.
Fractional coordinates of all 18 atoms:
V: 0.0000 0.0000 0.0000  2 F 1.97, 4 O 2.01
V: 0.1598 0.8402 0.5000  5 O 1.86-1.99
V: 0.3395 0.6605 0.0000  4 O 1.99-2.03, 2 F 2.10
V: 0.5000 0.5000 0.5000  2 O 1.92, 4 F 2.02
V: 0.6605 0.3395 0.0000  4 O 1.99-2.03, 2 F 2.10
V: 0.8402 0.1598 0.5000  5 O 1.86-1.99
O: 0.0231 0.3596 0.0000  3 V 1.99-2.03
O: 0.0656 0.9344 0.5000  3 V 1.86-2.01
O: 0.3596 0.0231 0.0000  3 V 1.99-2.03
O: 0.4030 0.5970 0.5000  3 V 1.92-1.99
O: 0.5970 0.4030 0.5000  3 V 1.92-1.99
O: 0.6404 0.9769 0.0000  3 V 1.99-2.03
O: 0.9344 0.0656 0.5000  3 V 1.86-2.01
O: 0.9769 0.6404 0.0000  3 V 1.99-2.03
F: 0.2670 0.7330 0.5000  3 V 2.10-2.12
F: 0.3004 0.3004 0.0000  3 V 1.97-2.02
F: 0.6996 0.6996 0.0000  3 V 1.97-2.02
F: 0.7330 0.2670 0.5000  3 V 2.10-2.12

E_form: -2324 kJ/mol of formula units
volume: 11.10 A^3/atom
relative energy among the computed polymorphs: 0.041 eV per atom

No. 3
VASP calculation (PBE+U) on a relaxed structure of V4O7F5.

a b c (Å): 5.2611 5.3743 7.3512
angles (deg): 88.32 89.94 89.57
With the nearest neighbours (Å) after each atom.
Fractional coordinates of all 16 atoms:
V: 0.0000 0.0000 0.0000  2 O 1.67-1.68
V: 0.0347 0.0667 0.4918  2 O 1.67-1.70
V: 0.4910 0.5093 0.0474  2 O 1.67-1.69
V: 0.5547 0.5406 0.5509  1 O 1.68
O: 0.1111 0.0351 0.2725  1 V 1.67
O: 0.2547 0.3213 0.9915  1 V 1.67
O: 0.4612 0.5326 0.2750  1 V 1.69
O: 0.6083 0.5371 0.7761  1 V 1.68
O: 0.8240 0.7533 0.0574  1 V 1.67
O: 0.8394 0.3193 0.4851  1 V 1.70
O: 0.9638 0.0307 0.7737  1 V 1.68
F: 0.2437 0.7536 0.5605  2 V 1.99-2.05
F: 0.3278 0.8271 0.9832  2 V 1.95-1.96
F: 0.3328 0.2383 0.5680  2 V 1.92-2.01
F: 0.7473 0.8400 0.4795  2 V 1.95-1.97
F: 0.7511 0.2499 0.0687  2 V 1.95

E_form: -3895 kJ/mol of formula units
volume: 12.98 A^3/atom
relative energy among the computed polymorphs: 0.033 eV per atom

No. 4
VASP calculation (PBE+U) on a relaxed structure of V6O7F5.

a b c (Å): 4.6992 5.6562 7.7575
angles (deg): 86.09 89.32 89.06
With the nearest neighbours (Å) after each atom.
Fractional coordinates of all 18 atoms:
V: 0.0000 0.0000 0.0000  3 O 1.91-2.05, 3 F 2.05-2.11
V: 0.0105 0.6448 0.3281  4 O 2.01-2.11, 2 F 2.10-2.11
V: 0.0502 0.3206 0.6688  4 O 1.95-2.06, 2 F 2.13-2.14
V: 0.4572 0.8147 0.6601  3 O 1.79-1.88
V: 0.5244 0.1552 0.3336  4 O 2.00-2.09, 2 F 2.07
V: 0.5483 0.4771 0.9944  3 O 1.92-2.06, 3 F 2.05-2.08
O: 0.2095 0.3526 0.4357  3 V 1.95-2.03
O: 0.2286 0.0091 0.7724  1 V 1.79
O: 0.3253 0.8481 0.4374  1 V 1.84
O: 0.3300 0.5264 0.7659  3 V 1.88-2.06
O: 0.7109 0.4466 0.2267  3 V 1.96-2.01
O: 0.8252 0.9439 0.2269  3 V 1.94-2.04
O: 0.8337 0.2830 0.8924  3 V 1.91-2.00
F: 0.2219 0.6890 0.0874  3 V 2.08-2.11
F: 0.3223 0.1889 0.0968  3 V 2.05-2.07
F: 0.7197 0.7855 0.8871  3 V 2.05-2.16
F: 0.7208 0.1097 0.5716  3 V 2.07-2.16
F: 0.8106 0.6230 0.5720  3 V 2.10-2.13

E_form: -4782 kJ/mol of formula units
volume: 11.43 A^3/atom
relative energy among the computed polymorphs: 0.009 eV per atom

No. 5
VASP calculation (PBE+U) on a relaxed structure of V2O3F2.

a b c (Å): 5.1016 5.6709 6.7076
angles (deg): 103.84 108.60 97.42
With the nearest neighbours (Å) after each atom.
Fractional coordinates of all 14 atoms:
V: 0.0863 0.2133 0.1793  1 O 1.73
V: 0.3063 0.3393 0.7763  1 O 1.69
V: 0.6937 0.6607 0.2237  1 O 1.69
V: 0.9137 0.7867 0.8207  1 O 1.73
O: 0.0279 0.4768 0.7122  1 V 1.69
O: 0.1857 0.8876 0.0758  1 V 1.73
O: 0.3673 0.3890 0.0900  3 V 1.92-1.97
O: 0.6327 0.6110 0.9100  3 V 1.92-1.97
O: 0.8143 0.1124 0.9242  1 V 1.73
O: 0.9721 0.5232 0.2878  1 V 1.69
F: 0.1759 0.9808 0.7057  2 V 1.95-2.07
F: 0.3577 0.2612 0.4858  2 V 2.00-2.01
F: 0.6423 0.7388 0.5142  2 V 2.00-2.01
F: 0.8241 0.0192 0.2943  2 V 1.95-2.07

E_form: -1788 kJ/mol of formula units
volume: 12.43 A^3/atom

No. 6
VASP calculation (PBE+U) on a relaxed structure of V3O4F2.

a b c (Å): 4.6906 5.6189 7.7157
angles (deg): 85.52 88.66 88.60
With the nearest neighbours (Å) after each atom.
Fractional coordinates of all 18 atoms:
V: 0.0000 0.0000 0.0000  5 O 1.99-2.13, 1 F 2.16
V: 0.0001 0.3349 0.6870  4 O 1.93-2.09, 2 F 2.06-2.07
V: 0.0358 0.6699 0.3571  4 O 1.85-1.95
V: 0.4480 0.1644 0.3390  3 O 1.81-1.86
V: 0.5126 0.8439 0.6840  4 O 1.92-2.09, 2 F 2.05-2.06
V: 0.5155 0.5063 0.0166  4 O 1.96-2.08, 2 F 2.06
O: 0.1877 0.6989 0.1330  1 V 1.85
O: 0.2086 0.0434 0.7676  3 V 1.92-2.02
O: 0.2175 0.3714 0.4472  2 V 1.81-1.95
O: 0.3123 0.2001 0.1189  1 V 1.82
O: 0.3175 0.8761 0.4428  2 V 1.86-1.94
O: 0.7008 0.7991 0.9120  3 V 1.98-1.99
O: 0.8050 0.3026 0.9105  3 V 1.93-1.99
O: 0.8252 0.6435 0.5633  2 V 1.85-2.07
F: 0.3073 0.5409 0.7836  3 V 2.06
F: 0.7060 0.1397 0.5664  3 V 2.05-2.15
F: 0.7081 0.4611 0.2545  3 V 2.06-2.16
F: 0.8008 0.9746 0.2554  3 V 2.06-2.16

E_form: -2326 kJ/mol of formula units
volume: 11.26 A^3/atom
relative energy among the computed polymorphs: 0.037 eV per atom

No. 7
VASP calculation (PBE+U) on a relaxed structure of V6O7F5.

a b c (Å): 4.7271 5.6051 7.7526
angles (deg): 85.60 89.91 88.56
With the nearest neighbours (Å) after each atom.
Fractional coordinates of all 18 atoms:
V: 0.0000 0.0000 0.0000  3 O 1.96-2.01, 3 F 2.05-2.11
V: 0.0032 0.6568 0.3340  3 O 1.92-2.01, 3 F 2.02-2.12
V: 0.0229 0.3421 0.6473  4 O 1.96-2.02, 2 F 2.10-2.14
V: 0.4722 0.8240 0.6684  4 O 1.90-2.08, 1 F 2.11
V: 0.5286 0.1846 0.3345  3 O 1.90-2.07, 3 F 2.04-2.13
V: 0.5593 0.5270 0.9837  4 O 1.85-1.95
O: 0.2127 0.6378 0.5531  3 V 1.90-1.99
O: 0.3124 0.7939 0.9113  3 V 1.92-2.02
O: 0.3189 0.1340 0.5591  3 V 1.96-2.01
O: 0.7031 0.2198 0.0888  3 V 1.95-2.07
O: 0.7221 0.5346 0.7657  3 V 1.85-2.08
O: 0.8150 0.7123 0.1014  3 V 1.89-2.01
O: 0.8163 0.3738 0.4226  3 V 1.90-1.99
F: 0.2092 0.9700 0.2363  3 V 2.08-2.13
F: 0.2131 0.3025 0.8921  3 V 2.10-2.24
F: 0.3185 0.4758 0.2175  3 V 2.03-2.14
F: 0.7089 0.8704 0.4383  3 V 2.02-2.11
F: 0.8129 0.0340 0.7601  3 V 2.05-2.17

E_form: -4780 kJ/mol of formula units
volume: 11.37 A^3/atom
relative energy among the computed polymorphs: 0.009 eV per atom

No. 8
VASP calculation (PBE+U) on a relaxed structure of V3O4F2.

a b c (Å): 5.5933 5.5954 7.3781
angles (deg): 71.55 71.65 70.86
With the nearest neighbours (Å) after each atom.
Fractional coordinates of all 18 atoms:
V: 0.0000 0.0000 0.0000  5 O 2.01-2.07, 1 F 2.13
V: 0.0085 0.0125 0.5035  4 O 1.98-2.04, 2 F 2.05-2.07
V: 0.3270 0.3194 0.1520  4 O 1.87-1.96
V: 0.3589 0.3706 0.6722  4 O 1.84-1.97
V: 0.6799 0.6714 0.3268  4 O 1.98-2.01, 2 F 2.05
V: 0.7107 0.6534 0.8314  3 O 1.91-2.09, 3 F 2.05-2.08
O: 0.0020 0.3571 0.8227  3 V 1.91-2.01
O: 0.0479 0.6238 0.1655  3 V 1.90-2.05
O: 0.1081 0.1010 0.2042  3 V 1.88-2.07
O: 0.3189 0.7033 0.5031  3 V 1.87-2.01
O: 0.4499 0.4383 0.8670  2 V 1.84-1.96
O: 0.6250 0.0418 0.1662  3 V 1.87-2.05
O: 0.7033 0.3164 0.5010  3 V 1.93-1.98
O: 0.9103 0.8990 0.7964  3 V 1.95-2.01
F: 0.2519 0.2444 0.4640  3 V 2.07-2.18
F: 0.3871 0.9698 0.8245  3 V 2.08-2.15
F: 0.5743 0.5599 0.1304  3 V 2.05-2.17
F: 0.7840 0.7726 0.5302  3 V 2.05

E_form: -2343 kJ/mol of formula units
volume: 11.17 A^3/atom
relative energy among the computed polymorphs: 0.019 eV per atom